80
Lattice="-8.518 -12.481 -3.168 3.056 0.043 -8.387 8.274 -0.153 3.015" Properties=species:S:1:pos:R:3 comment="GGA-PBE Na3TiZnP3O12, optimized geometry" volume_a3_per_cell=994 density_g_cm3=3.1 e_form_kj_per_mol_fu=-5197 m_tot_mub_per_fu=0.0 pbc="T T T"
O -5.227 -11.416 -3.303
O 2.012 -1.936 -3.458
O 4.163 -1.928 -4.724
O 4.430 -4.485 -6.558
O -1.664 -5.454 -4.729
O 7.348 -2.018 -0.603
P 0.710 -12.535 -8.887
O -0.862 -7.137 -6.523
O 8.148 -0.965 -5.115
Na -0.017 -9.409 -7.399
P 6.124 -1.932 -1.482
O -2.398 -9.460 -7.164
P 3.441 -6.316 -3.110
O 0.768 -10.693 -5.271
O 2.895 -5.525 -4.379
O -1.357 -10.747 -3.949
O 2.361 -7.226 -2.505
O 2.617 -6.795 -6.933
Na 2.714 -3.190 -1.622
Na 0.478 -6.270 -8.318
O 1.105 -11.462 -7.817
O 4.604 -7.188 -3.529
O 0.780 -9.551 -3.024
Na -2.126 -8.568 -5.009
Na 2.372 -8.640 -4.491
P -3.127 -8.108 -2.228
O 2.162 -3.000 -5.792
O 3.836 -5.243 -2.040
P -3.299 -10.673 -6.950
O 6.464 -5.794 -5.751
Ti -3.229 -11.227 -3.540
O 0.333 -3.241 -1.386
Zn 6.007 -1.287 -4.931
Na 2.451 -9.509 -1.312
Ti 5.212 -5.062 -0.571
O -0.719 -8.155 -9.236
Na 3.209 -0.051 -2.540
P 2.660 -1.846 -4.837
O -1.894 -4.439 -2.065
O 0.677 -12.056 -3.141
O 1.869 -0.918 -0.745
P -6.214 -12.497 -2.748
O 0.197 -7.115 -4.296
O -3.849 -10.623 -5.461
O 0.187 -5.748 -1.386
Ti 2.481 -11.281 -6.349
O -1.624 -8.190 -2.114
Zn 0.349 -1.232 -2.267
Ti 2.559 -4.965 -6.150
O 1.938 -4.361 -8.071
O -4.625 -10.658 -7.842
Na 5.103 -2.421 1.287
O 5.348 -0.576 -1.155
O 2.401 -9.312 -6.860
O 6.567 -3.289 -5.634
O 4.617 -8.237 -6.380
P -0.568 -4.454 -1.172
O -2.544 -11.967 -7.163
O -2.892 -11.787 -1.770
O 5.985 -0.853 -6.906
P 6.019 -4.497 -6.388
Zn -2.382 -7.451 -8.044
Na 3.662 -2.306 -7.618
O 7.335 -0.969 2.249
O 5.132 -3.093 -1.082
O -3.625 -9.262 -3.182
O -3.516 -6.746 -2.965
O 6.515 -2.008 -2.956
O 0.560 -5.154 -5.913
P -0.426 -6.235 -5.357
Na 2.229 -6.380 -0.262
P 0.232 -10.758 -3.779
O 3.499 -4.474 0.506
Na 8.016 -0.118 -2.871
P 3.393 -8.151 -7.260
Zn 0.219 -7.549 -2.322
O 2.272 -0.485 -5.574
Na 8.238 -3.247 -3.921
O 0.728 -8.269 -0.346
O -4.395 -11.673 -10.507


64
Lattice="13.689 0.000 0.000 0.000 7.138 0.000 0.000 2.645 9.601" Properties=species:S:1:pos:R:3 comment="GGA-PBE NaUP3O11, optimized geometry" volume_a3_per_cell=938 density_g_cm3=3.8 e_form_kj_per_mol_fu=-4461 m_tot_mub_per_fu=0.0 pbc="T T T"
O 8.190 1.101 2.825
P 2.299 2.034 6.615
O 2.799 5.240 7.822
O 1.148 1.857 0.046
O 9.644 5.865 6.579
O 5.499 8.682 6.776
O 1.880 2.898 7.916
O 4.965 1.576 3.116
U 2.117 5.131 2.416
U 11.573 4.651 7.184
Na 6.525 5.557 0.683
O 10.816 1.883 2.424
P 4.546 0.712 1.814
P 8.624 6.881 3.308
O 3.353 1.593 1.157
O 8.276 5.712 2.420
O 10.890 4.543 1.778
O 9.195 3.557 4.144
Na 0.320 6.880 5.484
O 5.697 3.179 4.846
P 11.391 7.749 2.986
O 11.339 4.880 8.944
P 9.144 9.071 7.786
O 5.653 0.619 0.823
O 4.046 3.918 3.022
O 6.534 3.525 2.531
P 5.066 2.901 6.293
O 1.733 5.342 4.186
O 4.494 6.225 5.457
Na 13.369 2.903 4.117
O 7.156 6.258 7.070
O 12.344 2.424 7.625
O 1.192 1.941 5.624
P 1.548 4.461 8.096
O 7.993 6.603 4.754
O 12.259 7.034 7.220
P 11.910 8.204 8.108
P 8.393 6.644 6.305
O 5.414 4.071 7.181
O 8.037 9.164 8.777
O 1.346 7.359 1.976
O 10.198 6.867 3.643
O 8.725 8.207 6.485
O 2.350 4.903 0.657
O 9.718 3.205 7.224
O 10.336 8.190 8.443
O 11.809 6.885 1.685
O 12.541 7.926 9.555
Na 7.165 4.225 8.918
O 11.957 4.441 5.415
O 3.972 6.578 2.377
U 4.728 6.454 7.217
O 1.431 2.749 2.380
O 2.873 7.900 7.177
U 8.962 3.329 2.384
O 0.311 4.847 7.331
O 3.492 2.916 5.958
P 12.141 5.322 1.505
O 13.379 4.935 2.269
P 5.296 3.139 3.295
O 5.112 6.664 8.987
O 8.578 3.119 0.614
O 12.497 7.841 3.977
P 1.779 1.579 1.493


Question: Number 1 is which compound?
Answer: Na3TiZnP3O12


Question: Number 1 is which compound?
Answer: Na3TiZnP3O12


Please write out number 1 again, unchanged.
80
Lattice="-8.518 -12.481 -3.168 3.056 0.043 -8.387 8.274 -0.153 3.015" Properties=species:S:1:pos:R:3 comment="GGA-PBE Na3TiZnP3O12, optimized geometry" volume_a3_per_cell=994 density_g_cm3=3.1 e_form_kj_per_mol_fu=-5197 m_tot_mub_per_fu=0.0 pbc="T T T"
O -5.227 -11.416 -3.303
O 2.012 -1.936 -3.458
O 4.163 -1.928 -4.724
O 4.430 -4.485 -6.558
O -1.664 -5.454 -4.729
O 7.348 -2.018 -0.603
P 0.710 -12.535 -8.887
O -0.862 -7.137 -6.523
O 8.148 -0.965 -5.115
Na -0.017 -9.409 -7.399
P 6.124 -1.932 -1.482
O -2.398 -9.460 -7.164
P 3.441 -6.316 -3.110
O 0.768 -10.693 -5.271
O 2.895 -5.525 -4.379
O -1.357 -10.747 -3.949
O 2.361 -7.226 -2.505
O 2.617 -6.795 -6.933
Na 2.714 -3.190 -1.622
Na 0.478 -6.270 -8.318
O 1.105 -11.462 -7.817
O 4.604 -7.188 -3.529
O 0.780 -9.551 -3.024
Na -2.126 -8.568 -5.009
Na 2.372 -8.640 -4.491
P -3.127 -8.108 -2.228
O 2.162 -3.000 -5.792
O 3.836 -5.243 -2.040
P -3.299 -10.673 -6.950
O 6.464 -5.794 -5.751
Ti -3.229 -11.227 -3.540
O 0.333 -3.241 -1.386
Zn 6.007 -1.287 -4.931
Na 2.451 -9.509 -1.312
Ti 5.212 -5.062 -0.571
O -0.719 -8.155 -9.236
Na 3.209 -0.051 -2.540
P 2.660 -1.846 -4.837
O -1.894 -4.439 -2.065
O 0.677 -12.056 -3.141
O 1.869 -0.918 -0.745
P -6.214 -12.497 -2.748
O 0.197 -7.115 -4.296
O -3.849 -10.623 -5.461
O 0.187 -5.748 -1.386
Ti 2.481 -11.281 -6.349
O -1.624 -8.190 -2.114
Zn 0.349 -1.232 -2.267
Ti 2.559 -4.965 -6.150
O 1.938 -4.361 -8.071
O -4.625 -10.658 -7.842
Na 5.103 -2.421 1.287
O 5.348 -0.576 -1.155
O 2.401 -9.312 -6.860
O 6.567 -3.289 -5.634
O 4.617 -8.237 -6.380
P -0.568 -4.454 -1.172
O -2.544 -11.967 -7.163
O -2.892 -11.787 -1.770
O 5.985 -0.853 -6.906
P 6.019 -4.497 -6.388
Zn -2.382 -7.451 -8.044
Na 3.662 -2.306 -7.618
O 7.335 -0.969 2.249
O 5.132 -3.093 -1.082
O -3.625 -9.262 -3.182
O -3.516 -6.746 -2.965
O 6.515 -2.008 -2.956
O 0.560 -5.154 -5.913
P -0.426 -6.235 -5.357
Na 2.229 -6.380 -0.262
P 0.232 -10.758 -3.779
O 3.499 -4.474 0.506
Na 8.016 -0.118 -2.871
P 3.393 -8.151 -7.260
Zn 0.219 -7.549 -2.322
O 2.272 -0.485 -5.574
Na 8.238 -3.247 -3.921
O 0.728 -8.269 -0.346
O -4.395 -11.673 -10.507